1.
Material: La3RuI3
Method: DFT, meta-GGA r2SCAN
State: optimized geometry

Summary:
E (hartree per atom): -1.0367
Total magnetic moment (Bohr magnetons per cell): 0.00
E_form (meV per atom): -1306.1
ρ (g cm⁻³): 5.7

Lattice parameters (Å, degrees): 9.5434 4.4107 12.5236 90.00 93.24 90.00
Element x y z (fractional)
La (0.0954, 0.2500, 0.3968)
La (0.1168, 0.2500, 0.8304)
La (0.3163, 0.7500, 0.6214)
La (0.6837, 0.2500, 0.3786)
La (0.8832, 0.7500, 0.1696)
La (0.9046, 0.7500, 0.6032)
Ru (0.1138, 0.2500, 0.6302)
Ru (0.8862, 0.7500, 0.3698)
I (0.1321, 0.2500, 0.1196)
I (0.3685, 0.7500, 0.8815)
I (0.3936, 0.7500, 0.3631)
I (0.6064, 0.2500, 0.6369)
I (0.6315, 0.2500, 0.1185)
I (0.8679, 0.7500, 0.8804)

=====

2.
Material: La2Ru2I
Method: DFT, meta-GGA r2SCAN
State: optimized geometry

Summary:
E (hartree per atom): -1.0185
Total magnetic moment (Bohr magnetons per cell): 2.33
E_form (meV per atom): -734.6
ρ (g cm⁻³): 6.9

Lattice parameters (Å, degrees): 4.3360 4.3360 17.8677 90.00 90.00 120.00
Element x y z (fractional)
La (0.0000, 0.0000, 0.1051)
La (0.0000, 0.0000, 0.3949)
La (0.0000, 0.0000, 0.6051)
La (0.0000, 0.0000, 0.8949)
Ru (0.3333, 0.6667, 0.0060)
Ru (0.3333, 0.6667, 0.4940)
Ru (0.6667, 0.3333, 0.5060)
Ru (0.6667, 0.3333, 0.9940)
I (0.3333, 0.6667, 0.7500)
I (0.6667, 0.3333, 0.2500)

=====

3.
Material: La4RuI5
Method: DFT, meta-GGA r2SCAN
State: optimized geometry

Summary:
E (hartree per atom): -1.0338
Total magnetic moment (Bohr magnetons per cell): 0.06
E_form (meV per atom): -1412.0
ρ (g cm⁻³): 5.4

Lattice parameters (Å, degrees): 4.4432 9.3362 10.1303 103.25 102.62 91.04
Element x y z (fractional)
La (0.0000, 0.0000, 0.0000)
La (0.0488, 0.5792, 0.0002)
La (0.3857, 0.7158, 0.7229)
La (0.6626, 0.8637, 0.2773)
Ru (0.5245, 0.7894, 0.0000)
I (0.1962, 0.1340, 0.3390)
I (0.1967, 0.6215, 0.3474)
I (0.5235, 0.2886, 0.9983)
I (0.8515, 0.4460, 0.6606)
I (0.8517, 0.9579, 0.6525)

=====

4.
Material: La3SbI3
Method: DFT, meta-GGA r2SCAN
State: optimized geometry

Summary:
E (hartree per atom): -1.0472
Total magnetic moment (Bohr magnetons per cell): 0.00
E_form (meV per atom): -1551.6
ρ (g cm⁻³): 5.6

Lattice parameters (Å, degrees): 11.2150 11.2150 11.2150 109.47 109.47 109.47
Element x y z (fractional)
La (0.0097, 0.0194, 0.2597)
La (0.0097, 0.4903, 0.7500)
La (0.0194, 0.2597, 0.0097)
La (0.2403, 0.2597, 0.7500)
La (0.2403, 0.4806, 0.4903)
La (0.2597, 0.0097, 0.0194)
La (0.2597, 0.7500, 0.2403)
La (0.4806, 0.4903, 0.2403)
La (0.4903, 0.2403, 0.4806)
La (0.4903, 0.7500, 0.0097)
La (0.7500, 0.0097, 0.4903)
La (0.7500, 0.2403, 0.2597)
Sb (0.0000, 0.2500, 0.5000)
Sb (0.2500, 0.2500, 0.2500)
Sb (0.2500, 0.5000, 0.0000)
Sb (0.5000, 0.0000, 0.2500)
I (0.2500, 0.7576, 0.7424)
I (0.2500, 0.9924, 0.5076)
I (0.5076, 0.2500, 0.9924)
I (0.5076, 0.7576, 0.5151)
I (0.5151, 0.5076, 0.7576)
I (0.7424, 0.2500, 0.7576)
I (0.7424, 0.9924, 0.9849)
I (0.7576, 0.5151, 0.5076)
I (0.7576, 0.7424, 0.2500)
I (0.9849, 0.7424, 0.9924)
I (0.9924, 0.5076, 0.2500)
I (0.9924, 0.9849, 0.7424)

=====

5.
Material: La4Si4I3
Method: DFT, meta-GGA r2SCAN
State: optimized geometry

Summary:
E (hartree per atom): -0.8054
Total magnetic moment (Bohr magnetons per cell): 0.00
E_form (meV per atom): -1211.0
ρ (g cm⁻³): 5.3

Lattice parameters (Å, degrees): 12.5037 12.5037 12.6379 97.57 97.57 19.71
Element x y z (fractional)
La (0.0036, 0.0036, 0.1646)
La (0.1381, 0.1381, 0.7097)
La (0.1433, 0.1433, 0.0228)
La (0.4264, 0.4264, 0.5541)
La (0.5736, 0.5736, 0.4459)
La (0.8567, 0.8567, 0.9772)
La (0.8619, 0.8619, 0.2903)
La (0.9964, 0.9964, 0.8354)
Si (0.0236, 0.0236, 0.5909)
Si (0.4044, 0.4044, 0.1408)
Si (0.4492, 0.4492, 0.9851)
Si (0.4572, 0.4572, 0.3171)
Si (0.5428, 0.5428, 0.6829)
Si (0.5508, 0.5508, 0.0149)
Si (0.5956, 0.5956, 0.8592)
Si (0.9764, 0.9764, 0.4091)
I (0.1316, 0.1316, 0.2904)
I (0.2575, 0.2575, 0.8690)
I (0.3004, 0.3004, 0.4270)
I (0.6996, 0.6996, 0.5730)
I (0.7425, 0.7425, 0.1310)
I (0.8684, 0.8684, 0.7096)

=====

6.
Material: LaSiI
Method: DFT, meta-GGA r2SCAN
State: optimized geometry

Summary:
E (hartree per atom): -0.8196
Total magnetic moment (Bohr magnetons per cell): 0.00
E_form (meV per atom): -1276.4
ρ (g cm⁻³): 5.2

Lattice parameters (Å, degrees): 4.2412 4.2412 12.1089 90.00 90.00 120.00
Element x y z (fractional)
La (0.0000, 0.0000, 0.1697)
La (0.0000, 0.0000, 0.8303)
Si (0.3333, 0.6667, 0.0055)
Si (0.6667, 0.3333, 0.9945)
I (0.3333, 0.6667, 0.6497)
I (0.6667, 0.3333, 0.3503)

=====

7.
Material: La3SiI3
Method: DFT, meta-GGA r2SCAN
State: optimized geometry

Summary:
E (hartree per atom): -0.9552
Total magnetic moment (Bohr magnetons per cell): 0.00
E_form (meV per atom): -1467.3
ρ (g cm⁻³): 5.3

Lattice parameters (Å, degrees): 11.0198 11.0198 11.0198 109.47 109.47 109.47
Element x y z (fractional)
La (0.0156, 0.0313, 0.2656)
La (0.0156, 0.4844, 0.7500)
La (0.0313, 0.2656, 0.0156)
La (0.2344, 0.2656, 0.7500)
La (0.2344, 0.4687, 0.4844)
La (0.2656, 0.0156, 0.0313)
La (0.2656, 0.7500, 0.2344)
La (0.4687, 0.4844, 0.2344)
La (0.4844, 0.2344, 0.4687)
La (0.4844, 0.7500, 0.0156)
La (0.7500, 0.0156, 0.4844)
La (0.7500, 0.2344, 0.2656)
Si (0.0000, 0.2500, 0.5000)
Si (0.2500, 0.2500, 0.2500)
Si (0.2500, 0.5000, 0.0000)
Si (0.5000, 0.0000, 0.2500)
I (0.2500, 0.7586, 0.7414)
I (0.2500, 0.9914, 0.5086)
I (0.5086, 0.2500, 0.9914)
I (0.5086, 0.7586, 0.5172)
I (0.5172, 0.5086, 0.7586)
I (0.7414, 0.2500, 0.7586)
I (0.7414, 0.9914, 0.9828)
I (0.7586, 0.5172, 0.5086)
I (0.7586, 0.7414, 0.2500)
I (0.9828, 0.7414, 0.9914)
I (0.9914, 0.5086, 0.2500)
I (0.9914, 0.9828, 0.7414)

=====

8.
Material: La5Sn3I
Method: DFT, meta-GGA r2SCAN
State: optimized geometry

Summary:
E (hartree per atom): -1.0485
Total magnetic moment (Bohr magnetons per cell): 4.00
E_form (meV per atom): -1028.9
ρ (g cm⁻³): 6.6

Lattice parameters (Å, degrees): 9.7869 9.7869 7.1663 90.00 90.00 120.00
Element x y z (fractional)
La (0.0000, 0.2779, 0.2500)
La (0.0000, 0.7221, 0.7500)
La (0.2779, 0.0000, 0.2500)
La (0.2779, 0.2779, 0.7500)
La (0.3333, 0.6667, 0.0000)
La (0.3333, 0.6667, 0.5000)
La (0.6667, 0.3333, 0.0000)
La (0.6667, 0.3333, 0.5000)
La (0.7221, 0.0000, 0.7500)
La (0.7221, 0.7221, 0.2500)
Sn (0.0000, 0.3847, 0.7500)
Sn (0.0000, 0.6153, 0.2500)
Sn (0.3847, 0.0000, 0.7500)
Sn (0.3847, 0.3847, 0.2500)
Sn (0.6153, 0.0000, 0.2500)
Sn (0.6153, 0.6153, 0.7500)
I (0.0000, 0.0000, 0.0000)
I (0.0000, 0.0000, 0.5000)